No. 1
Below is an optimized crystal structure of Mg6AlCu, with properties calculated at the PBE level.

Summary:
total magnetization = 0.00 μB/cell
energy of formation = 0.035 eV/atom

Cell lengths 4.8908, 6.1205, 10.5711 Å; angles 90.00, 90.00, 90.00 degrees
With the nearest neighbours (Å) after each atom.
Positions (direct):
Mg (0.5000, 0.2532, 0.4141)  2 Cu 3.00-3.10, 2 Al 3.01, 8 Mg 3.02-3.10
Mg (0.0000, 0.7416, 0.0875)  2 Al 2.95-3.16, 8 Mg 2.96-3.16, 2 Cu 2.98
Mg (0.0000, 0.2584, 0.0875)  2 Al 2.95-3.16, 8 Mg 2.96-3.16, 2 Cu 2.98
Mg (0.5000, 0.5000, 0.6671)  10 Mg 3.01-3.07, 2 Cu 3.06
Mg (0.0000, 0.5000, 0.8326)  10 Mg 3.01-3.07, 2 Al 3.06
Mg (0.5000, 0.7532, 0.9141)  2 Cu 3.00-3.10, 2 Al 3.01, 8 Mg 3.02-3.10
Mg (0.0000, 0.0000, 0.3326)  10 Mg 3.01-3.07, 2 Al 3.06
Mg (0.0000, 0.7584, 0.5875)  2 Al 2.95-3.16, 8 Mg 2.96-3.16, 2 Cu 2.98
Mg (0.5000, 0.2468, 0.9141)  2 Cu 3.00-3.10, 2 Al 3.01, 8 Mg 3.02-3.10
Mg (0.5000, 0.7468, 0.4141)  2 Cu 3.00-3.10, 2 Al 3.01, 8 Mg 3.02-3.10
Mg (0.0000, 0.2416, 0.5875)  2 Al 2.95-3.16, 8 Mg 2.96-3.16, 2 Cu 2.98
Mg (0.5000, 0.0000, 0.1671)  10 Mg 3.01-3.07, 2 Cu 3.06
Cu (0.5000, 0.0000, 0.6685)  2 Al 2.97, 10 Mg 2.98-3.10
Cu (0.5000, 0.5000, 0.1685)  2 Al 2.97, 10 Mg 2.98-3.10
Al (0.0000, 0.0000, 0.8285)  10 Mg 2.95-3.16, 2 Cu 2.97
Al (0.0000, 0.5000, 0.3285)  10 Mg 2.95-3.16, 2 Cu 2.97


No. 2
Below is an optimized crystal structure of Mg16Al12Cu, with properties calculated at the PBE level.

Summary:
total magnetization = 0.01 μB/cell
energy of formation = -0.016 eV/atom

Cell lengths 9.0409, 9.0409, 9.0409 Å; angles 108.95, 108.95, 108.95 degrees
With the nearest neighbours (Å) after each atom.
Positions (direct):
Mg (0.0000, 0.0000, 0.0000)  1 Cu 2.64
Mg (0.2761, 0.6785, 0.6785)  5 Al 2.99-3.13, 7 Mg 3.02-3.12
Mg (0.3127, 0.5916, 0.9914)  5 Al 2.90-3.13, 6 Mg 3.04-3.22
Mg (0.3127, 0.9914, 0.5916)  5 Al 2.90-3.13, 6 Mg 3.04-3.22
Mg (0.3419, 0.9935, 0.9935)  4 Mg 3.02-3.13, 6 Al 3.05-3.14
Mg (0.4137, 0.4137, 0.6965)  5 Al 2.94-3.11, 4 Mg 3.06-3.21, 1 Cu 3.08
Mg (0.4137, 0.6965, 0.4137)  5 Al 2.94-3.11, 4 Mg 3.06-3.21, 1 Cu 3.08
Mg (0.5916, 0.3127, 0.9914)  5 Al 2.90-3.13, 6 Mg 3.04-3.22
Mg (0.5916, 0.9914, 0.3127)  5 Al 2.90-3.13, 6 Mg 3.04-3.22
Mg (0.6785, 0.2761, 0.6785)  5 Al 2.99-3.13, 7 Mg 3.02-3.12
Mg (0.6785, 0.6785, 0.2761)  5 Al 2.99-3.13, 7 Mg 3.02-3.12
Mg (0.6965, 0.4137, 0.4137)  5 Al 2.94-3.11, 4 Mg 3.06-3.21, 1 Cu 3.08
Mg (0.9914, 0.3127, 0.5916)  5 Al 2.90-3.13, 6 Mg 3.04-3.22
Mg (0.9914, 0.5916, 0.3127)  5 Al 2.90-3.13, 6 Mg 3.04-3.22
Mg (0.9935, 0.3419, 0.9935)  4 Mg 3.02-3.13, 6 Al 3.05-3.14
Mg (0.9935, 0.9935, 0.3419)  4 Mg 3.02-3.13, 6 Al 3.05-3.14
Al (0.1622, 0.3509, 0.3509)  3 Al 2.70-2.78, 3 Mg 2.94-2.99
Al (0.1809, 0.1809, 0.8019)  3 Al 2.70-2.78, 2 Mg 2.94
Al (0.1809, 0.8019, 0.1809)  3 Al 2.70-2.78, 2 Mg 2.94
Al (0.3509, 0.1622, 0.3509)  3 Al 2.70-2.78, 3 Mg 2.94-2.99
Al (0.3509, 0.3509, 0.1622)  3 Al 2.70-2.78, 3 Mg 2.94-2.99
Al (0.6292, 0.8111, 0.9922)  3 Al 2.67-2.78, 1 Cu 2.82, 1 Mg 2.90
Al (0.6292, 0.9922, 0.8111)  3 Al 2.67-2.78, 1 Cu 2.82, 1 Mg 2.90
Al (0.8019, 0.1809, 0.1809)  3 Al 2.70-2.78, 2 Mg 2.94
Al (0.8111, 0.6292, 0.9922)  3 Al 2.67-2.78, 1 Cu 2.82, 1 Mg 2.90
Al (0.8111, 0.9922, 0.6292)  3 Al 2.67-2.78, 1 Cu 2.82, 1 Mg 2.90
Al (0.9922, 0.6292, 0.8111)  3 Al 2.67-2.78, 1 Cu 2.82, 1 Mg 2.90
Al (0.9922, 0.8111, 0.6292)  3 Al 2.67-2.78, 1 Cu 2.82, 1 Mg 2.90
Cu (0.7151, 0.7151, 0.7151)  1 Mg 2.64, 6 Al 2.82


No. 3
Below is an optimized crystal structure of MgAl2Cu, with properties calculated at the PBE level.

Summary:
energy of formation = -0.182 eV/atom

Cell lengths 5.0591, 5.0591, 7.1312 Å; angles 90.00, 90.00, 133.43 degrees
With the nearest neighbours (Å) after each atom.
Positions (direct):
Mg (0.0649, 0.9351, 0.7500)  3 Cu 2.65-2.82
Mg (0.9351, 0.0649, 0.2500)  3 Cu 2.65-2.82
Al (0.3560, 0.6440, 0.5548)  3 Cu 2.51-2.54, 2 Al 2.78-2.79
Al (0.3560, 0.6440, 0.9452)  3 Cu 2.51-2.54, 2 Al 2.78-2.79
Al (0.6440, 0.3560, 0.0548)  3 Cu 2.51-2.54, 2 Al 2.78-2.79
Al (0.6440, 0.3560, 0.4452)  3 Cu 2.51-2.54, 2 Al 2.78-2.79
Cu (0.2205, 0.7795, 0.2500)  6 Al 2.51-2.54, 1 Mg 2.65
Cu (0.7795, 0.2205, 0.7500)  6 Al 2.51-2.54, 1 Mg 2.65


No. 4
Below is an optimized crystal structure of MgAlCu, with properties calculated at the PBE level.

Summary:
total magnetization = 0.00 μB/cell
energy of formation = -0.099 eV/atom

Cell lengths 12.7685, 12.7685, 12.7685 Å; angles 23.75, 23.75, 23.75 degrees
With the nearest neighbours (Å) after each atom.
Positions (direct):
Mg (0.0382, 0.0382, 0.0382)  4 Mg 2.84-3.19, 9 Cu 2.99-3.10, 3 Al 3.08
Mg (0.1809, 0.1809, 0.1809)  9 Al 3.03-3.06, 3 Cu 3.08, 4 Mg 3.21-3.28
Mg (0.2690, 0.2690, 0.2690)  6 Cu 2.83-3.05, 6 Al 3.13
Mg (0.7310, 0.7310, 0.7310)  6 Cu 2.83-3.05, 6 Al 3.13
Mg (0.8191, 0.8191, 0.8191)  9 Al 3.03-3.06, 3 Cu 3.08, 4 Mg 3.21-3.28
Mg (0.9618, 0.9618, 0.9618)  4 Mg 2.84-3.19, 9 Cu 2.99-3.10, 3 Al 3.08
Al (0.2221, 0.7235, 0.7235)  2 Cu 2.56-2.59, 4 Al 2.62-2.63
Al (0.2765, 0.2765, 0.7779)  2 Cu 2.56-2.59, 4 Al 2.62-2.63
Al (0.2765, 0.7779, 0.2765)  2 Cu 2.56-2.59, 4 Al 2.62-2.63
Al (0.7235, 0.2221, 0.7235)  2 Cu 2.56-2.59, 4 Al 2.62-2.63
Al (0.7235, 0.7235, 0.2221)  2 Cu 2.56-2.59, 4 Al 2.62-2.63
Al (0.7779, 0.2765, 0.2765)  2 Cu 2.56-2.59, 4 Al 2.62-2.63
Cu (0.0000, 0.5000, 0.5000)  6 Cu 2.55-2.63, 2 Mg 2.83
Cu (0.3884, 0.3884, 0.3884)  3 Cu 2.55, 3 Al 2.56
Cu (0.5000, 0.0000, 0.5000)  6 Cu 2.55-2.63, 2 Mg 2.83
Cu (0.5000, 0.5000, 0.0000)  6 Cu 2.55-2.63, 2 Mg 2.83
Cu (0.5000, 0.5000, 0.5000)  6 Al 2.59
Cu (0.6116, 0.6116, 0.6116)  3 Cu 2.55, 3 Al 2.56


No. 5
Below is an optimized crystal structure of Mg6AlCu, with properties calculated at the PBE level.

Summary:
total magnetization = 0.00 μB/cell
energy of formation = 0.036 eV/atom

Cell lengths 4.8651, 6.1779, 10.4907 Å; angles 90.00, 90.00, 90.00 degrees
With the nearest neighbours (Å) after each atom.
Positions (direct):
Mg (0.5000, 0.2550, 0.9125)  8 Mg 2.94-3.15, 2 Cu 2.98, 2 Al 3.02
Mg (0.0000, 0.2500, 0.5841)  8 Mg 3.02-3.09, 2 Al 3.03-3.06, 2 Cu 3.03-3.06
Mg (0.0000, 0.7500, 0.0841)  8 Mg 3.02-3.09, 2 Al 3.03-3.06, 2 Cu 3.03-3.06
Mg (0.5000, 0.7550, 0.4125)  8 Mg 2.94-3.15, 2 Cu 2.98, 2 Al 3.02
Mg (0.5000, 0.0000, 0.1725)  10 Mg 2.94-3.15, 2 Cu 2.96
Mg (0.5000, 0.0000, 0.6692)  2 Al 2.97, 10 Mg 3.00-3.09
Mg (0.0000, 0.7500, 0.5841)  8 Mg 3.02-3.09, 2 Al 3.03-3.06, 2 Cu 3.03-3.06
Mg (0.5000, 0.5000, 0.6725)  10 Mg 2.94-3.15, 2 Cu 2.96
Mg (0.0000, 0.2500, 0.0841)  8 Mg 3.02-3.09, 2 Al 3.03-3.06, 2 Cu 3.03-3.06
Mg (0.5000, 0.7450, 0.9125)  8 Mg 2.94-3.15, 2 Cu 2.98, 2 Al 3.02
Mg (0.5000, 0.2450, 0.4125)  8 Mg 2.94-3.15, 2 Cu 2.98, 2 Al 3.02
Mg (0.5000, 0.5000, 0.1692)  2 Al 2.97, 10 Mg 3.00-3.09
Al (0.0000, 0.5000, 0.3323)  10 Mg 2.97-3.06, 2 Cu 3.09
Al (0.0000, 0.0000, 0.8323)  10 Mg 2.97-3.06, 2 Cu 3.09
Cu (0.0000, 0.0000, 0.3328)  10 Mg 2.96-3.06, 2 Al 3.09
Cu (0.0000, 0.5000, 0.8328)  10 Mg 2.96-3.06, 2 Al 3.09


No. 6
Below is an optimized crystal structure of Mg2Al5Cu6, with properties calculated at the PBE level.

Summary:
energy of formation = -0.240 eV/atom

Cell lengths 8.2639, 8.2639, 8.2639 Å; angles 90.00, 90.00, 90.00 degrees
With the nearest neighbours (Å) after each atom.
Positions (direct):
Mg (0.0000, 0.1789, 0.5000)  6 Cu 2.84-2.85, 1 Mg 2.96, 8 Al 2.99-3.13
Mg (0.0000, 0.8211, 0.5000)  6 Cu 2.84-2.85, 1 Mg 2.96, 8 Al 2.99-3.13
Mg (0.1789, 0.5000, 0.0000)  6 Cu 2.84-2.85, 1 Mg 2.96, 8 Al 2.99-3.13
Mg (0.5000, 0.0000, 0.1789)  6 Cu 2.84-2.85, 1 Mg 2.96, 8 Al 2.99-3.13
Mg (0.5000, 0.0000, 0.8211)  6 Cu 2.84-2.85, 1 Mg 2.96, 8 Al 2.99-3.13
Mg (0.8211, 0.5000, 0.0000)  6 Cu 2.84-2.85, 1 Mg 2.96, 8 Al 2.99-3.13
Al (0.0000, 0.0000, 0.0000)  12 Cu 2.52
Al (0.0000, 0.5000, 0.3343)  4 Cu 2.45-2.63, 1 Al 2.74
Al (0.0000, 0.5000, 0.6657)  4 Cu 2.45-2.63, 1 Al 2.74
Al (0.2822, 0.2822, 0.2822)  6 Cu 2.53-2.55
Al (0.2822, 0.2822, 0.7178)  6 Cu 2.53-2.55
Al (0.2822, 0.7178, 0.2822)  6 Cu 2.53-2.55
Al (0.2822, 0.7178, 0.7178)  6 Cu 2.53-2.55
Al (0.3343, 0.0000, 0.5000)  4 Cu 2.45-2.63, 1 Al 2.74
Al (0.5000, 0.3343, 0.0000)  4 Cu 2.45-2.63, 1 Al 2.74
Al (0.5000, 0.6657, 0.0000)  4 Cu 2.45-2.63, 1 Al 2.74
Al (0.6657, 0.0000, 0.5000)  4 Cu 2.45-2.63, 1 Al 2.74
Al (0.7178, 0.2822, 0.2822)  6 Cu 2.53-2.55
Al (0.7178, 0.2822, 0.7178)  6 Cu 2.53-2.55
Al (0.7178, 0.7178, 0.2822)  6 Cu 2.53-2.55
Al (0.7178, 0.7178, 0.7178)  6 Cu 2.53-2.55
Cu (0.0000, 0.2560, 0.1654)  4 Al 2.45-2.53, 5 Cu 2.63-2.73
Cu (0.0000, 0.2560, 0.8346)  4 Al 2.45-2.53, 5 Cu 2.63-2.73
Cu (0.0000, 0.7440, 0.1654)  4 Al 2.45-2.53, 5 Cu 2.63-2.73
Cu (0.0000, 0.7440, 0.8346)  4 Al 2.45-2.53, 5 Cu 2.63-2.73
Cu (0.1654, 0.0000, 0.2560)  4 Al 2.45-2.53, 5 Cu 2.63-2.73
Cu (0.1654, 0.0000, 0.7440)  4 Al 2.45-2.53, 5 Cu 2.63-2.73
Cu (0.2560, 0.1654, 0.0000)  4 Al 2.45-2.53, 5 Cu 2.63-2.73
Cu (0.2560, 0.8346, 0.0000)  4 Al 2.45-2.53, 5 Cu 2.63-2.73
Cu (0.2719, 0.5000, 0.5000)  6 Al 2.55-2.63, 4 Cu 2.67
Cu (0.5000, 0.2719, 0.5000)  6 Al 2.55-2.63, 4 Cu 2.67
Cu (0.5000, 0.5000, 0.2719)  6 Al 2.55-2.63, 4 Cu 2.67
Cu (0.5000, 0.5000, 0.7281)  6 Al 2.55-2.63, 4 Cu 2.67
Cu (0.5000, 0.7281, 0.5000)  6 Al 2.55-2.63, 4 Cu 2.67
Cu (0.7281, 0.5000, 0.5000)  6 Al 2.55-2.63, 4 Cu 2.67
Cu (0.7440, 0.1654, 0.0000)  4 Al 2.45-2.53, 5 Cu 2.63-2.73
Cu (0.7440, 0.8346, 0.0000)  4 Al 2.45-2.53, 5 Cu 2.63-2.73
Cu (0.8346, 0.0000, 0.2560)  4 Al 2.45-2.53, 5 Cu 2.63-2.73
Cu (0.8346, 0.0000, 0.7440)  4 Al 2.45-2.53, 5 Cu 2.63-2.73


No. 7
Below is an optimized crystal structure of MgAl2Cu4O8, with properties calculated at the PBE level.

Summary:
total magnetization = 3.99 μB/cell
energy of formation = -1.719 eV/atom

Cell lengths 5.8787, 5.8787, 6.5126 Å; angles 122.26, 122.26, 61.16 degrees
With the nearest neighbours (Å) after each atom.
Positions (direct):
Mg (0.0000, 0.0000, 0.0000)  6 O 2.09-2.13
Al (0.1497, 0.1497, 0.4668)  4 O 1.77-1.85
Al (0.8503, 0.8503, 0.5332)  4 O 1.77-1.85
Cu (0.0000, 0.5000, 0.0000)  4 O 1.98-2.00
Cu (0.5000, 0.0000, 0.0000)  4 O 1.98-2.00
Cu (0.5000, 0.5000, 0.0000)  2 O 1.89
Cu (0.5000, 0.5000, 0.5000)  2 O 1.99
O (0.2227, 0.7750, 0.2525)  1 Al 1.85, 1 Cu 1.98
O (0.2250, 0.7773, 0.7475)  1 Al 1.85, 1 Cu 1.98
O (0.2550, 0.2550, 0.3244)  1 Al 1.79, 1 Cu 1.99
O (0.2645, 0.2645, 0.8106)  1 Al 1.77, 1 Cu 1.89
O (0.7355, 0.7355, 0.1894)  1 Al 1.77, 1 Cu 1.89
O (0.7450, 0.7450, 0.6756)  1 Al 1.79, 1 Cu 1.99
O (0.7750, 0.2227, 0.2525)  1 Al 1.85, 1 Cu 1.98
O (0.7773, 0.2250, 0.7475)  1 Al 1.85, 1 Cu 1.98


| no. | density (kg/m3) |
| --- | --- |
| 1 | 2481 |
| 2 | 2224 |
| 3 | 3553 |
| 4 | 3859 |
| 5 | 2489 |
| 6 | 4985 |
| 7 | 4943 |